{
  "formula": "EuZnIn",
  "functional": "meta-GGA r2SCAN",
  "state": "relaxed",
  "cell": [[-3.100, -4.900, 1.787], [0.751, -4.041, 4.463], [-4.223, -0.940, 6.378]],
  "species": ["Eu", "Eu", "In", "In", "Zn", "Zn"],
  "fractional_positions": [[0.540, 0.540, 0.705], [0.460, 0.460, 0.295], [0.828, 0.828, 0.114], [0.172, 0.172, 0.886], [0.155, 0.155, 0.299], [0.845, 0.845, 0.701]],
  "magmom_total_mub_per_cell": 14.15,
  "crystal_system": "monoclinic",
  "delta_e_f_ev_per_atom": -0.48,
  "sg": "C2/m, No. 12",
  "dft_energy_ha_per_atom": -0.87516
}